An optimized crystal structure of LaTm3S6. Source: the Materials Project database, functional PBE-GGA.

abc: 11.0595 3.9813 11.2728
angles: 90.00 108.96 90.00
Fractional positions:
1 La 0.0507 0.2500 0.1955
2 La 0.9493 0.7500 0.8045
3 Tm 0.1609 0.2500 0.5877
4 Tm 0.3211 0.7500 0.9999
5 Tm 0.4442 0.2500 0.3339
6 Tm 0.5558 0.7500 0.6661
7 Tm 0.6789 0.2500 0.0001
8 Tm 0.8391 0.7500 0.4123
9 S 0.0812 0.7500 0.4080
10 S 0.1217 0.2500 0.9636
11 S 0.1979 0.7500 0.7486
12 S 0.2702 0.7500 0.2307
13 S 0.3930 0.2500 0.5574
14 S 0.4780 0.2500 0.1116
15 S 0.5220 0.7500 0.8884
16 S 0.6070 0.7500 0.4426
17 S 0.7298 0.2500 0.7693
18 S 0.8021 0.2500 0.2514
19 S 0.8783 0.7500 0.0364
20 S 0.9188 0.2500 0.5920

## Properties
formation energy	-2.420	eV/atom
space group	P2_1/m (11)



An optimized crystal structure of La4Tm11S22. Source: the Materials Project database, functional PBE-GGA.

abc: 19.6840 19.6840 11.3337
angles: 91.38 91.38 11.53
Fractional positions:
1 La 0.1040 0.1040 0.0124
2 La 0.3672 0.3672 0.3479
3 La 0.6328 0.6328 0.6521
4 La 0.8960 0.8960 0.9876
5 Tm 0.0000 0.0000 0.0000
6 Tm 0.0693 0.0693 0.3607
7 Tm 0.2023 0.2023 0.9419
8 Tm 0.2638 0.2638 0.3520
9 Tm 0.3423 0.3423 0.6987
10 Tm 0.4621 0.4621 0.2710
11 Tm 0.5379 0.5379 0.7290
12 Tm 0.6577 0.6577 0.3013
13 Tm 0.7362 0.7362 0.6480
14 Tm 0.7977 0.7977 0.0581
15 Tm 0.9307 0.9307 0.6393
16 S 0.0078 0.0078 0.2391
17 S 0.0867 0.0867 0.7516
18 S 0.1344 0.1344 0.4514
19 S 0.1687 0.1687 0.1527
20 S 0.1894 0.1894 0.6921
21 S 0.2555 0.2555 0.1190
22 S 0.2800 0.2800 0.5902
23 S 0.3501 0.3501 0.0910
24 S 0.4071 0.4071 0.7858
25 S 0.4457 0.4457 0.4955
26 S 0.4538 0.4538 0.0317
27 S 0.5462 0.5462 0.9683
28 S 0.5543 0.5543 0.5045
29 S 0.5929 0.5929 0.2142
30 S 0.6499 0.6499 0.9090
31 S 0.7200 0.7200 0.4098
32 S 0.7445 0.7445 0.8810
33 S 0.8106 0.8106 0.3079
34 S 0.8313 0.8313 0.8473
35 S 0.8656 0.8656 0.5486
36 S 0.9133 0.9133 0.2484
37 S 0.9922 0.9922 0.7609

## Properties
formation energy	-2.394	eV/atom
magnetic moment	0.06	μB per formula unit
space group	C2/m (12)



An optimized crystal structure of La2US5. Source: the Materials Project database, functional PBE-GGA.

abc: 11.9993 8.2032 7.5692
angles: 90.00 90.00 90.00
Fractional positions:
1 La 0.1765 0.0006 0.0245
2 La 0.1765 0.4994 0.0245
3 La 0.3235 0.5006 0.5245
4 La 0.3235 0.9994 0.5245
5 La 0.6765 0.0006 0.4755
6 La 0.6765 0.4994 0.4755
7 La 0.8235 0.5006 0.9755
8 La 0.8235 0.9994 0.9755
9 U 0.0091 0.2500 0.5708
10 U 0.4909 0.7500 0.0708
11 U 0.5091 0.2500 0.9292
12 U 0.9909 0.7500 0.4292
13 S 0.0015 0.2500 0.9535
14 S 0.0931 0.5415 0.6585
15 S 0.0931 0.9585 0.6585
16 S 0.1852 0.2500 0.3325
17 S 0.2136 0.7500 0.3040
18 S 0.2864 0.2500 0.8040
19 S 0.3148 0.7500 0.8325
20 S 0.4069 0.0415 0.1585
21 S 0.4069 0.4585 0.1585
22 S 0.4985 0.7500 0.4535
23 S 0.5015 0.2500 0.5465
24 S 0.5931 0.5415 0.8415
25 S 0.5931 0.9585 0.8415
26 S 0.6852 0.2500 0.1675
27 S 0.7136 0.7500 0.1960
28 S 0.7864 0.2500 0.6960
29 S 0.8148 0.7500 0.6675
30 S 0.9069 0.0415 0.3415
31 S 0.9069 0.4585 0.3415
32 S 0.9985 0.7500 0.0465

## Properties
formation energy	-2.246	eV/atom
space group	Pnma (62)



An optimized crystal structure of LaYS3. Source: the Materials Project database, functional PBE-GGA.

abc: 11.1437 4.0338 21.8329
angles: 90.00 101.41 90.00
Fractional positions:
1 La 0.0919 0.2500 0.3631
2 La 0.1998 0.2500 0.0361
3 La 0.3027 0.7500 0.7345
4 La 0.3086 0.2500 0.2318
5 La 0.6914 0.7500 0.7682
6 La 0.6973 0.2500 0.2655
7 La 0.8002 0.7500 0.9639
8 La 0.9081 0.7500 0.6369
9 Y 0.0294 0.2500 0.8511
10 Y 0.1789 0.2500 0.5469
11 Y 0.4478 0.2500 0.9170
12 Y 0.4765 0.7500 0.4117
13 Y 0.5235 0.2500 0.5883
14 Y 0.5522 0.7500 0.0830
15 Y 0.8211 0.7500 0.4531
16 Y 0.9706 0.7500 0.1489
17 S 0.0384 0.2500 0.2287
18 S 0.0575 0.7500 0.9444
19 S 0.0860 0.7500 0.4628
20 S 0.1241 0.2500 0.6643
21 S 0.2057 0.7500 0.1337
22 S 0.2515 0.7500 0.3254
23 S 0.2548 0.2500 0.8237
24 S 0.3422 0.7500 0.5995
25 S 0.3547 0.7500 0.9856
26 S 0.3635 0.2500 0.4638
27 S 0.4521 0.2500 0.1334
28 S 0.4943 0.2500 0.7216
29 S 0.5057 0.7500 0.2784
30 S 0.5479 0.7500 0.8666
31 S 0.6365 0.7500 0.5362
32 S 0.6453 0.2500 0.0144
33 S 0.6578 0.2500 0.4005
34 S 0.7452 0.7500 0.1763
35 S 0.7485 0.2500 0.6746
36 S 0.7943 0.2500 0.8663
37 S 0.8759 0.7500 0.3357
38 S 0.9140 0.2500 0.5372
39 S 0.9425 0.2500 0.0556
40 S 0.9616 0.7500 0.7713

## Properties
formation energy	-2.455	eV/atom
space group	P2_1/m (11)



An optimized crystal structure of LaY3S6. Source: the Materials Project database, functional PBE-GGA.

abc: 11.1487 4.0249 11.4222
angles: 90.00 108.86 90.00
Fractional positions:
1 La 0.0507 0.2500 0.1956
2 La 0.9493 0.7500 0.8044
3 Y 0.1611 0.2500 0.5874
4 Y 0.3203 0.7500 0.9992
5 Y 0.4441 0.2500 0.3336
6 Y 0.5559 0.7500 0.6664
7 Y 0.6797 0.2500 0.0008
8 Y 0.8389 0.7500 0.4126
9 S 0.0821 0.7500 0.4067
10 S 0.1193 0.2500 0.9632
11 S 0.1970 0.7500 0.7486
12 S 0.2678 0.7500 0.2299
13 S 0.3929 0.2500 0.5563
14 S 0.4792 0.2500 0.1123
15 S 0.5208 0.7500 0.8877
16 S 0.6071 0.7500 0.4437
17 S 0.7322 0.2500 0.7701
18 S 0.8030 0.2500 0.2514
19 S 0.8807 0.7500 0.0368
20 S 0.9179 0.2500 0.5933

## Properties
formation energy	-2.424	eV/atom
space group	P2_1/m (11)



An optimized crystal structure of La4Y11S22. Source: the Materials Project database, functional PBE-GGA.

abc: 19.8530 19.8530 11.4471
angles: 91.56 91.56 11.54
Fractional positions:
1 La 0.1042 0.1042 0.0115
2 La 0.3672 0.3672 0.3469
3 La 0.6328 0.6328 0.6531
4 La 0.8958 0.8958 0.9885
5 Y 0.0000 0.0000 0.0000
6 Y 0.0696 0.0696 0.3605
7 Y 0.2021 0.2021 0.9420
8 Y 0.2639 0.2639 0.3519
9 Y 0.3423 0.3423 0.6988
10 Y 0.4621 0.4621 0.2712
11 Y 0.5379 0.5379 0.7288
12 Y 0.6577 0.6577 0.3012
13 Y 0.7361 0.7361 0.6481
14 Y 0.7979 0.7979 0.0580
15 Y 0.9304 0.9304 0.6395
16 S 0.0078 0.0078 0.2390
17 S 0.0875 0.0875 0.7516
18 S 0.1348 0.1348 0.4536
19 S 0.1683 0.1683 0.1513
20 S 0.1888 0.1888 0.6917
21 S 0.2553 0.2553 0.1188
22 S 0.2799 0.2799 0.5901
23 S 0.3506 0.3506 0.0913
24 S 0.4071 0.4071 0.7879
25 S 0.4454 0.4454 0.4951
26 S 0.4531 0.4531 0.0311
27 S 0.5469 0.5469 0.9689
28 S 0.5546 0.5546 0.5049
29 S 0.5929 0.5929 0.2121
30 S 0.6494 0.6494 0.9087
31 S 0.7201 0.7201 0.4099
32 S 0.7447 0.7447 0.8812
33 S 0.8112 0.8112 0.3083
34 S 0.8317 0.8317 0.8487
35 S 0.8652 0.8652 0.5464
36 S 0.9125 0.9125 0.2484
37 S 0.9922 0.9922 0.7610

## Properties
formation energy	-2.403	eV/atom
magnetic moment	0.00	μB per formula unit
space group	C2/m (12)



An optimized crystal structure of La2Sb. Source: the Materials Project database, functional PBE-GGA.

abc: 9.7223 9.7223 9.7223
angles: 152.35 152.35 39.51
Fractional positions:
1 La 0.0000 0.5000 0.5000
2 La 0.1795 0.1795 0.0000
3 La 0.5000 0.0000 0.5000
4 La 0.8205 0.8205 0.0000
5 Sb 0.3629 0.3629 0.0000
6 Sb 0.6371 0.6371 0.0000

## Properties
formation energy	-0.972	eV/atom
space group	I4/mmm (139)



An optimized crystal structure of La5Sb3. Source: the Materials Project database, functional PBE-GGA.

abc: 9.6154 9.6154 6.5562
angles: 90.00 90.00 59.96
Fractional positions:
1 La 0.1667 0.1667 0.0000
2 La 0.1667 0.1667 0.5000
3 La 0.2439 0.5001 0.2500
4 La 0.2441 0.7559 0.7500
5 La 0.5001 0.2439 0.7500
6 La 0.4999 0.7561 0.2500
7 La 0.7559 0.2441 0.2500
8 La 0.7561 0.4999 0.7500
9 La 0.8333 0.8333 0.0000
10 La 0.8333 0.8333 0.5000
11 Sb 0.1173 0.5000 0.7500
12 Sb 0.1173 0.8827 0.2500
13 Sb 0.5000 0.1173 0.2500
14 Sb 0.5000 0.8827 0.7500
15 Sb 0.8827 0.1173 0.7500
16 Sb 0.8827 0.5000 0.2500

## Properties
formation energy	-1.073	eV/atom
space group	Cmcm (63)